Density functional theory data (PBE) for a relaxed PrH8C2S2I3N4O9 crystal.

Output
energy of formation = -0.69 eV per atom
VASP energy = -5.35 eV/atom

Unit cell a=10.8000 b=10.8000 c=13.0206 alpha=118.64 beta=118.64 gamma=43.96
Closest atoms and distances in Å follow each position.
Atoms (fractional coordinates):
1 Pr 0.1152 0.8848 0.7500  5 O 2.44-2.70
2 Pr 0.8848 0.1152 0.2500  5 O 2.44-2.70
3 H 0.0702 0.2685 0.9800  1 N 1.05
4 H 0.0786 0.4417 0.0951  1 N 1.03
5 H 0.1293 0.3642 0.7582  1 N 1.02
6 H 0.2238 0.4535 0.7716  1 N 1.02
7 H 0.2685 0.0702 0.4800  1 N 1.05
8 H 0.3642 0.1293 0.2582  1 N 1.02
9 H 0.4417 0.0786 0.5951  1 N 1.03
10 H 0.4535 0.2238 0.2716  1 N 1.02
11 H 0.5465 0.7762 0.7284  1 N 1.02
12 H 0.5583 0.9214 0.4049  1 N 1.03
13 H 0.6358 0.8707 0.7418  1 N 1.02
14 H 0.7315 0.9298 0.5200  1 N 1.05
15 H 0.7762 0.5465 0.2284  1 N 1.02
16 H 0.8707 0.6358 0.2418  1 N 1.02
17 H 0.9214 0.5583 0.9049  1 N 1.03
18 H 0.9298 0.7315 0.0200  1 N 1.05
19 C 0.0916 0.5796 0.9000  2 N 1.31-1.32
20 C 0.4204 0.9084 0.6000  2 N 1.31-1.32
21 C 0.5796 0.0916 0.4000  2 N 1.31-1.32
22 C 0.9084 0.4204 0.1000  2 N 1.31-1.32
23 S 0.1634 0.7245 0.9814  2 O 1.50-1.53
24 S 0.2755 0.8366 0.5186  2 O 1.50-1.53
25 S 0.7245 0.1634 0.4814  2 O 1.50-1.53
26 S 0.8366 0.2755 0.0186  2 O 1.50-1.53
27 I 0.0000 0.5000 0.5000  2 O 2.03
28 I 0.1125 0.6782 0.2613  2 O 1.94-2.18
29 I 0.3218 0.8875 0.2387  2 O 1.94-2.18
30 I 0.5000 0.0000 0.0000  2 O 2.03
31 I 0.6782 0.1125 0.7613  2 O 1.94-2.18
32 I 0.8875 0.3218 0.7387  2 O 1.94-2.18
33 N 0.0244 0.3768 0.0555  2 H 1.03-1.05
34 N 0.1634 0.4469 0.8080  2 H 1.02
35 N 0.3768 0.0244 0.5555  2 H 1.03-1.05
36 N 0.4469 0.1634 0.3080  2 H 1.02
37 N 0.5531 0.8366 0.6920  2 H 1.02
38 N 0.6232 0.9756 0.4445  2 H 1.03-1.05
39 N 0.8366 0.5531 0.1920  2 H 1.02
40 N 0.9756 0.6232 0.9445  2 H 1.03-1.05
41 O 0.0141 0.1035 0.9828  1 S 1.50
42 O 0.1035 0.0141 0.4828  1 S 1.50
43 O 0.1204 0.1480 0.8316  1 H 1.82, 1 I 1.94
44 O 0.1480 0.1204 0.3316  1 H 1.82, 1 I 1.94
45 O 0.1645 0.5675 0.6010  1 I 2.03
46 O 0.1957 0.7145 0.8745  1 S 1.53
47 O 0.2188 0.7812 0.2500  2 I 2.18
48 O 0.2855 0.8043 0.6255  1 S 1.53
49 O 0.4325 0.8355 0.8990  1 I 2.03
50 O 0.5675 0.1645 0.1010  1 I 2.03
51 O 0.7145 0.1957 0.3745  1 S 1.53
52 O 0.7812 0.2188 0.7500  2 I 2.18
53 O 0.8043 0.2855 0.1255  1 S 1.53
54 O 0.8355 0.4325 0.3990  1 I 2.03
55 O 0.8520 0.8796 0.6684  1 H 1.82, 1 I 1.94
56 O 0.8796 0.8520 0.1684  1 H 1.82, 1 I 1.94
57 O 0.8965 0.9859 0.5172  1 S 1.50
58 O 0.9859 0.8965 0.0172  1 S 1.50